The following is a PBE calculation of a relaxed structure of CsMg14TiO16, from the Materials Project database.

Values from the calculation:
ΔE_f = -2.70 eV/atom
Uncorrected energy = -185.7 eV for the cell shown
Energy relative to the lowest polymorph listed for this composition = 7 meV per atom

Cell lengths 8.808, 8.808, 4.451 Å; angles 90.00, 90.00, 90.00 degrees
Space group P4/mmm (No. 123)
Asymmetric unit:
1 Cs 0.000 0.000 0.000
2 Mg 0.000 0.262 0.500
3 Mg 0.000 0.500 0.000
4 Mg 0.249 0.500 0.500
5 Mg 0.251 0.251 0.000
6 Ti 0.500 0.500 0.000
7 O 0.000 0.000 0.500
8 O 0.000 0.287 0.000
9 O 0.000 0.500 0.500
10 O 0.251 0.251 0.500
11 O 0.261 0.500 0.000
12 O 0.500 0.500 0.500